{"formula": "Na2LaSnP3O12", "functional": "GGA-PBE", "state": "relaxed", "lattice": [[9.3181, -0.0309, 0.0058], [-4.6858, 8.0542, -0.0058], [0.0149, -0.0086, 23.2834]], "species": ["P", "P", "P", "P", "P", "P", "P", "P", "P", "P", "P", "P", "P", "P", "P", "P", "P", "P", "O", "O", "O", "O", "O", "O", "O", "O", "O", "O", "O", "O", "O", "O", "O", "O", "O", "O", "O", "O", "O", "O", "O", "O", "O", "O", "O", "O", "O", "O", "O", "O", "O", "O", "O", "O", "O", "O", "O", "O", "O", "O", "O", "O", "O", "O", "O", "O", "O", "O", "O", "O", "O", "O", "O", "O", "O", "O", "O", "O", "O", "O", "O", "O", "O", "O", "O", "O", "O", "O", "O", "O", "Na", "Na", "Na", "Na", "Na", "Na", "Na", "Na", "Na", "Na", "Na", "Na", "La", "La", "La", "La", "La", "La", "Sn", "Sn", "Sn", "Sn", "Sn", "Sn"], "frac_coords": [[0.2848, 0.9798, 0.2470], [0.9554, 0.6485, 0.0818], [0.0241, 0.3059, 0.2541], [0.6907, 0.6393, 0.5874], [0.0202, 0.7152, 0.7470], [0.6220, 0.9819, 0.4151], [0.0274, 0.6426, 0.4208], [0.6848, 0.7113, 0.2484], [0.3574, 0.9726, 0.9208], [0.6941, 0.9759, 0.7541], [0.3607, 0.3093, 0.0874], [0.6869, 0.0485, 0.0803], [0.3535, 0.3819, 0.4137], [0.3515, 0.0446, 0.5818], [0.6181, 0.6465, 0.9137], [0.9515, 0.3131, 0.5803], [0.0181, 0.3780, 0.9151], [0.2887, 0.3152, 0.7484], [0.0465, 0.2115, 0.2007], [0.8602, 0.8133, 0.5881], [0.8790, 0.3362, 0.2490], [0.5457, 0.6695, 0.5823], [0.0088, 0.2152, 0.3099], [0.6755, 0.5486, 0.6432], [0.1219, 0.6202, 0.3673], [0.4500, 0.1156, 0.6360], [0.9774, 0.1964, 0.9098], [0.3753, 0.4865, 0.3569], [0.4598, 0.1337, 0.2428], [0.3305, 0.4543, 0.0823], [0.9910, 0.7964, 0.7985], [0.1819, 0.2225, 0.6937], [0.3108, 0.8631, 0.5765], [0.1935, 0.4800, 0.2548], [0.7848, 0.9912, 0.8099], [0.8703, 0.3423, 0.6319], [0.8486, 0.5559, 0.0270], [0.5200, 0.8065, 0.7548], [0.1108, 0.4848, 0.8604], [0.4552, 0.2869, 0.0340], [0.5166, 0.3723, 0.4205], [0.1369, 0.6892, 0.0765], [0.5370, 0.6756, 0.9652], [0.6638, 0.1210, 0.7490], [0.5126, 0.7054, 0.2521], [0.6441, 0.5297, 0.2431], [0.1265, 0.4671, 0.5761], [0.8459, 0.3721, 0.9188], [0.1833, 0.7056, 0.7539], [0.7834, 0.7823, 0.3027], [0.1181, 0.6579, 0.4765], [0.8500, 0.0390, 0.0872], [0.4514, 0.3245, 0.1432], [0.3244, 0.4630, 0.4652], [0.7131, 0.5448, 0.5340], [0.5269, 0.1466, 0.9215], [0.3798, 0.8781, 0.8673], [0.5135, 0.6247, 0.8569], [0.6277, 0.4834, 0.9205], [0.5152, 0.8892, 0.3604], [0.9971, 0.7877, 0.4156], [0.1802, 0.9580, 0.1902], [0.8036, 0.0226, 0.4098], [0.8844, 0.5500, 0.1360], [0.8534, 0.4731, 0.4215], [0.7086, 0.1532, 0.0236], [0.6279, 0.1541, 0.4188], [0.5329, 0.8735, 0.0761], [0.7885, 0.9535, 0.7007], [0.5510, 0.8833, 0.4694], [0.1996, 0.2068, 0.4095], [0.2036, 0.0090, 0.2985], [0.2944, 0.8167, 0.2539], [0.2177, 0.2166, 0.8027], [0.2946, 0.4874, 0.7521], [0.3421, 0.8819, 0.9765], [0.0420, 0.8198, 0.6902], [0.1793, 0.0387, 0.5855], [0.9613, 0.8207, 0.0855], [0.9610, 0.1500, 0.5872], [0.4441, 0.1514, 0.5270], [0.6577, 0.1297, 0.1319], [0.7775, 0.8181, 0.1937], [0.8663, 0.5402, 0.7428], [0.7932, 0.8004, 0.9095], [0.1167, 0.4490, 0.9694], [0.1867, 0.1398, 0.0881], [0.2123, 0.0029, 0.9156], [0.4703, 0.3559, 0.7431], [0.8468, 0.2914, 0.5236], [0.3592, 0.3501, 0.2495], [0.6666, 0.3336, 0.8384], [0.9999, 0.0003, 0.5051], [0.9997, 0.0001, 0.0051], [0.3330, 0.6668, 0.6718], [0.3165, 0.9741, 0.0828], [0.6664, 0.3334, 0.3384], [0.6499, 0.6408, 0.7495], [0.6926, 0.0168, 0.9161], [0.0259, 0.6835, 0.5828], [0.9832, 0.3074, 0.4161], [0.3332, 0.6670, 0.1718], [0.6854, 0.3398, 0.1878], [0.3268, 0.6479, 0.0211], [0.0188, 0.0065, 0.8544], [0.9935, 0.9812, 0.3544], [0.3521, 0.6732, 0.5211], [0.6602, 0.3146, 0.6878], [0.3374, 0.6758, 0.3167], [0.6707, 0.3424, 0.9834], [0.3242, 0.6626, 0.8167], [0.0040, 0.0091, 0.6500], [0.9909, 0.9960, 0.1500], [0.6576, 0.3293, 0.4834]], "final_energy_ev_per_atom": -6.92, "magnetic_moment_mub_per_fu": 0.00, "formation_energy_ev_per_atom": -2.7601}



{"formula": "Ca5V2N6", "functional": "GGA-PBE", "state": "relaxed", "lattice": [[4.9649, 0.0000, 0.0000], [0.0000, 6.5518, 0.0000], [0.0000, 1.8432, 6.8732]], "species": ["N", "N", "N", "N", "N", "N", "V", "V", "Ca", "Ca", "Ca", "Ca", "Ca"], "frac_coords": [[0.0000, 0.7726, 0.4461], [0.5000, 0.5735, 0.1980], [0.5000, 0.1489, 0.5404], [0.5000, 0.1102, 0.1359], [0.0000, 0.4342, 0.8299], [0.0000, 0.8892, 0.8665], [0.5000, 0.2888, 0.2890], [0.0000, 0.6984, 0.7086], [0.5000, 0.8045, 0.4128], [0.0000, 0.6153, 0.1623], [0.5000, 0.9169, 0.8905], [0.0000, 0.1277, 0.0845], [0.0000, 0.2177, 0.6076]], "final_energy_ev_per_atom": -6.86, "magnetic_moment_mub_per_fu": 1.88, "formation_energy_ev_per_atom": -1.0075}



{"formula": "LiNb2O4", "functional": "GGA-PBE", "state": "relaxed", "lattice": [[2.9730, 0.0000, 0.0000], [0.0000, 5.1652, 0.0000], [0.0000, 0.0000, 10.7268]], "species": ["Li", "Li", "O", "O", "O", "O", "O", "O", "O", "O", "Nb", "Nb", "Nb", "Nb"], "frac_coords": [[0.5000, 0.5000, 0.5000], [0.0000, 0.0000, 0.0000], [0.5000, 0.1819, 0.6378], [0.5000, 0.8447, 0.1302], [0.0000, 0.3181, 0.1378], [0.0000, 0.6819, 0.8622], [0.0000, 0.6553, 0.6302], [0.0000, 0.3447, 0.3698], [0.5000, 0.8181, 0.3622], [0.5000, 0.1553, 0.8698], [0.5000, 0.8365, 0.7430], [0.0000, 0.3365, 0.7570], [0.0000, 0.6635, 0.2430], [0.5000, 0.1635, 0.2570]], "final_energy_ev_per_atom": -8.31, "magnetic_moment_mub_per_fu": 0.01, "formation_energy_ev_per_atom": -2.7169}



{"formula": "KFeP", "functional": "GGA-PBE", "state": "relaxed", "lattice": [[0.0000, 3.1996, 3.1996], [3.1996, 0.0000, 3.1996], [3.1996, 3.1996, 0.0000]], "species": ["P", "Fe", "K"], "frac_coords": [[0.5000, 0.5000, 0.5000], [0.7500, 0.7500, 0.7500], [0.0000, 0.0000, 0.0000]], "final_energy_ev_per_atom": -4.30, "magnetic_moment_mub_per_fu": 3.77, "formation_energy_ev_per_atom": 0.6967}



{"formula": "UBN", "functional": "GGA-PBE", "state": "relaxed", "lattice": [[-2.5289, 1.2326, -5.4947], [-1.0203, -1.4102, 5.9225], [-0.0690, 3.1670, 0.7422]], "species": ["B", "B", "U", "U", "N", "N"], "frac_coords": [[0.4663, 0.5337, 0.2500], [0.5337, 0.4663, 0.7500], [0.1371, 0.8629, 0.2500], [0.8629, 0.1371, 0.7500], [0.3381, 0.6619, 0.2500], [0.6619, 0.3381, 0.7500]], "final_energy_ev_per_atom": -9.84, "formation_energy_ev_per_atom": -1.1917}



{"formula": "TbH5Se2O8", "functional": "GGA-PBE", "state": "relaxed", "lattice": [[-0.5988, 6.1783, 2.6357], [-6.9893, -0.1175, -1.3124], [-2.7879, -6.8661, 15.4614]], "species": ["O", "O", "O", "O", "O", "O", "O", "O", "O", "O", "O", "O", "O", "O", "O", "O", "O", "O", "O", "O", "O", "O", "O", "O", "O", "O", "O", "O", "O", "O", "O", "O", "H", "H", "H", "H", "H", "H", "H", "H", "H", "H", "H", "H", "H", "H", "H", "H", "H", "H", "H", "H", "Tb", "Tb", "Tb", "Tb", "Se", "Se", "Se", "Se", "Se", "Se", "Se", "Se"], "frac_coords": [[0.1178, 0.1892, 0.1023], [0.6178, 0.3108, 0.8977], [0.1198, 0.3081, 0.9476], [0.9109, 0.7789, 0.9973], [0.1833, 0.7077, 0.2639], [0.1851, 0.0634, 0.2604], [0.0283, 0.6170, 0.7033], [0.6198, 0.1919, 0.0524], [0.9191, 0.0773, 0.3908], [0.1345, 0.3884, 0.3551], [0.5891, 0.2211, 0.4973], [0.0809, 0.5773, 0.1092], [0.8655, 0.8884, 0.1449], [0.4109, 0.7211, 0.0027], [0.6833, 0.7923, 0.7361], [0.9717, 0.1170, 0.7967], [0.3149, 0.9366, 0.7604], [0.6345, 0.1116, 0.6449], [0.6851, 0.4366, 0.7396], [0.8822, 0.6892, 0.3977], [0.4717, 0.3830, 0.2033], [0.8149, 0.5634, 0.2396], [0.3802, 0.6919, 0.4476], [0.0891, 0.2789, 0.5027], [0.8802, 0.8081, 0.5524], [0.3167, 0.2923, 0.7639], [0.5283, 0.8830, 0.2967], [0.8167, 0.2077, 0.2361], [0.3822, 0.8108, 0.6023], [0.3655, 0.6116, 0.8551], [0.5809, 0.9227, 0.8908], [0.4191, 0.4227, 0.6092], [0.9691, 0.5779, 0.3934], [0.0561, 0.7852, 0.9952], [0.3828, 0.7665, 0.5472], [0.9439, 0.2852, 0.5048], [0.5309, 0.4221, 0.8934], [0.6996, 0.0843, 0.0694], [0.4691, 0.9221, 0.6066], [0.1996, 0.4157, 0.9306], [0.1172, 0.2335, 0.0472], [0.5561, 0.7148, 0.0048], [0.3004, 0.5843, 0.4306], [0.4229, 0.7523, 0.3991], [0.5771, 0.2523, 0.1009], [0.8828, 0.7335, 0.4528], [0.0309, 0.0779, 0.1066], [0.9229, 0.7477, 0.6009], [0.6172, 0.2665, 0.9528], [0.8004, 0.9157, 0.5694], [0.0771, 0.2477, 0.8991], [0.4439, 0.2148, 0.4952], [0.8717, 0.8852, 0.2836], [0.1283, 0.3852, 0.2164], [0.6283, 0.1148, 0.7836], [0.3717, 0.6148, 0.7164], [0.1401, 0.1802, 0.4066], [0.6594, 0.3810, 0.2710], [0.3406, 0.8810, 0.2290], [0.3599, 0.8198, 0.9066], [0.8599, 0.6802, 0.0934], [0.8406, 0.6190, 0.7710], [0.1594, 0.1190, 0.7290], [0.6401, 0.3198, 0.5934]], "final_energy_ev_per_atom": -5.62, "magnetic_moment_mub_per_fu": 0.02, "formation_energy_ev_per_atom": -1.7015}



{"formula": "Tm2MgSe4", "functional": "GGA-PBE", "state": "relaxed", "lattice": [[-2.8346, 5.7664, -11.4420], [-5.9370, -4.9846, -1.0413], [-8.2220, 8.4751, 6.3081]], "species": ["Tm", "Tm", "Tm", "Tm", "Tm", "Tm", "Tm", "Tm", "Tm", "Tm", "Tm", "Tm", "Tm", "Tm", "Tm", "Tm", "Se", "Se", "Se", "Se", "Se", "Se", "Se", "Se", "Se", "Se", "Se", "Se", "Se", "Se", "Se", "Se", "Se", "Se", "Se", "Se", "Se", "Se", "Se", "Se", "Se", "Se", "Se", "Se", "Se", "Se", "Se", "Se", "Mg", "Mg", "Mg", "Mg", "Mg", "Mg", "Mg", "Mg"], "frac_coords": [[0.3663, 0.1303, 0.4912], [0.1077, 0.8839, 0.6863], [0.3731, 0.3823, 0.8262], [0.8663, 0.3697, 0.4904], [0.1337, 0.1303, 0.9912], [0.1269, 0.3823, 0.3262], [0.3923, 0.8839, 0.1863], [0.6269, 0.6177, 0.3262], [0.8731, 0.6177, 0.8262], [0.6337, 0.3697, 0.9904], [0.8923, 0.1161, 0.1863], [0.6077, 0.1161, 0.6863], [0.1337, 0.6303, 0.9904], [0.6337, 0.8697, 0.9912], [0.8663, 0.8697, 0.4912], [0.3663, 0.6303, 0.4904], [0.4662, 0.3771, 0.6310], [0.5139, 0.1231, 0.8774], [0.4566, 0.8758, 0.6355], [0.9566, 0.1242, 0.6355], [0.5222, 0.6246, 0.8708], [0.4778, 0.3754, 0.3708], [0.5434, 0.1242, 0.1355], [0.2677, 0.6343, 0.2779], [0.7131, 0.6192, 0.5175], [0.0222, 0.3754, 0.8708], [0.0139, 0.8769, 0.8774], [0.7884, 0.1190, 0.0043], [0.7685, 0.8689, 0.2764], [0.0338, 0.3771, 0.1310], [0.7315, 0.8689, 0.7764], [0.2323, 0.6343, 0.7779], [0.7323, 0.3657, 0.7779], [0.2131, 0.3808, 0.5175], [0.9861, 0.1231, 0.3774], [0.9778, 0.6246, 0.3708], [0.0434, 0.8758, 0.1355], [0.2884, 0.8810, 0.0043], [0.9662, 0.6229, 0.6310], [0.7116, 0.1190, 0.5043], [0.5338, 0.6229, 0.1310], [0.2685, 0.1311, 0.2764], [0.2315, 0.1311, 0.7764], [0.2869, 0.3808, 0.0175], [0.7869, 0.6192, 0.0175], [0.4861, 0.8769, 0.3774], [0.2116, 0.8810, 0.5043], [0.7677, 0.3657, 0.2779], [0.1115, 0.3829, 0.6905], [0.6115, 0.6171, 0.6905], [0.8885, 0.6171, 0.1905], [0.3885, 0.3829, 0.1905], [0.3738, 0.8794, 0.8215], [0.8738, 0.1206, 0.8215], [0.6262, 0.1206, 0.3215], [0.1262, 0.8794, 0.3215]], "final_energy_ev_per_atom": -5.15, "magnetic_moment_mub_per_fu": 0.00, "formation_energy_ev_per_atom": -1.9158}



{"formula": "LiCa2Ge3", "functional": "GGA-PBE", "state": "relaxed", "lattice": [[4.4198, 0.0000, 0.0000], [0.0000, 10.7612, 0.0000], [0.0000, 0.0000, 11.3789]], "species": ["Ge", "Ge", "Ge", "Ge", "Ge", "Ge", "Ge", "Ge", "Ge", "Ge", "Ge", "Ge", "Li", "Li", "Li", "Li", "Ca", "Ca", "Ca", "Ca", "Ca", "Ca", "Ca", "Ca"], "frac_coords": [[0.0000, 0.2569, 0.6423], [0.5000, 0.2431, 0.1423], [0.0000, 0.6115, 0.5456], [0.0000, 0.7431, 0.3577], [0.5000, 0.4720, 0.1052], [0.5000, 0.8885, 0.0456], [0.5000, 0.1115, 0.9544], [0.0000, 0.0280, 0.6052], [0.5000, 0.7569, 0.8577], [0.5000, 0.5280, 0.8948], [0.0000, 0.9720, 0.3948], [0.0000, 0.3885, 0.4544], [0.0000, 0.3579, 0.2190], [0.5000, 0.1421, 0.7190], [0.0000, 0.6421, 0.7810], [0.5000, 0.8579, 0.2810], [0.5000, 0.5525, 0.3528], [0.5000, 0.4475, 0.6472], [0.0000, 0.6787, 0.0736], [0.5000, 0.8213, 0.5736], [0.0000, 0.0525, 0.1472], [0.0000, 0.3213, 0.9264], [0.0000, 0.9475, 0.8528], [0.5000, 0.1787, 0.4264]], "final_energy_ev_per_atom": -3.87, "formation_energy_ev_per_atom": -0.5709}



{"formula": "Cs2BeO2", "functional": "GGA-PBE", "state": "relaxed", "lattice": [[-3.5219, 1.1438, 5.0936], [-3.3337, -7.2184, -0.6842], [3.0011, -10.6093, 4.4574]], "species": ["O", "O", "O", "O", "O", "O", "O", "O", "Cs", "Cs", "Cs", "Cs", "Cs", "Cs", "Cs", "Cs", "Be", "Be", "Be", "Be"], "frac_coords": [[0.1776, 0.7298, 0.0528], [0.3224, 0.7298, 0.5528], [0.8224, 0.2702, 0.9472], [0.3791, 0.3414, 0.5901], [0.6209, 0.6586, 0.4099], [0.8791, 0.6586, 0.9099], [0.1209, 0.3414, 0.0901], [0.6776, 0.2702, 0.4472], [0.4319, 0.8536, 0.7535], [0.1392, 0.2777, 0.3782], [0.8608, 0.7223, 0.6218], [0.5681, 0.1464, 0.2465], [0.0681, 0.8536, 0.2535], [0.6392, 0.7223, 0.1218], [0.3608, 0.2777, 0.8782], [0.9319, 0.1464, 0.7465], [0.4256, 0.5938, 0.5207], [0.0744, 0.5938, 0.0207], [0.5744, 0.4062, 0.4793], [0.9256, 0.4062, 0.9793]], "final_energy_ev_per_atom": -4.83, "formation_energy_ev_per_atom": -2.0229}